Sm5Si3 | r²SCAN | relaxed

V (Å³ per cell): 427.0
Total energy (eV per atom): -22.573
Crystal system: hexagonal
Energy of formation (eV per atom): -0.700

a b c (Å): 8.655 8.655 6.583
angles (deg): 90.00 90.00 120.00
Fractional coordinates of all 16 atoms:
Sm1 0.000 0.245 0.250
Sm2 0.000 0.755 0.750
Sm3 0.245 0.000 0.250
Sm4 0.245 0.245 0.750
Sm5 0.333 0.667 0.000
Sm6 0.333 0.667 0.500
Sm7 0.667 0.333 0.000
Sm8 0.667 0.333 0.500
Sm9 0.755 0.000 0.750
Sm10 0.755 0.755 0.250
Si1 0.000 0.393 0.750
Si2 0.000 0.607 0.250
Si3 0.393 0.000 0.750
Si4 0.393 0.393 0.250
Si5 0.607 0.000 0.250
Si6 0.607 0.607 0.750